The following is a PBE+U calculation of VCdO3 after structural relaxation, from the Materials Project.

Summary:
**Corrected total energy (MP2020 scheme)**: -6.763 eV per atom
**Formation energy**: -1.793 eV per atom
**Magnetic moment**: 0.00 μB per atom
**V**: 11.33 A^3/atom
**Space group**: Pm-3m, No. 221

```
VCdO3
1.0
3.8401 0.0000 0.0000
0.0000 3.8401 0.0000
0.0000 0.0000 3.8401
V Cd O
1 1 3
Direct
0.0000 0.0000 0.0000 V
0.5000 0.5000 0.5000 Cd
0.0000 0.0000 0.5000 O
0.0000 0.5000 0.0000 O
0.5000 0.0000 0.0000 O
```